Ca | meta-GGA r2SCAN | relaxed

Cell: 3.9426 6.5091 6.7910 Å, 90.00 90.00 90.00°
Element x y z (fractional)
Ca 0.9998 0.7500 0.1644
Ca 0.5002 0.7500 0.6644
Ca 0.0002 0.2500 0.8356
Ca 0.4998 0.2500 0.3356

Computed properties:
For the theoretical density, the calculation gives 1.53 Mg/m³. As for the calculated formation energy: 0.01 eV per formula unit. The magnetic moment comes out at 0.0 μB/f.u.



Ca | meta-GGA r2SCAN | relaxed

Cell: 3.9434 3.9434 3.9434 Å, 60.00 60.00 60.00°
Element x y z (fractional)
Ca 0.0000 0.0000 0.0000

Computed properties:
For the theoretical density, the calculation gives 1.53 Mg/m³. As for the calculated formation energy: 0.00 eV per formula unit. The magnetic moment comes out at 0.0 μB/f.u.



What is the formula in the second record? Ca